1.
This record from the Materials Project describes Sr2Ca2NdMn5O15 after structural relaxation. The functional is PBE+U.

Its formation enthalpy at 0 K is -59.53 kcal/mol of atoms. The calculation puts the magnetization at 32.00 Bohr magnetons per cell.

abc: 5.4897 9.3756 12.0133
angles: 97.45 102.65 104.61
Last column: nearest neighbours and their distance in Å.
Positions (direct):
Sr1 0.1492 0.3502 0.9503  8 O 2.57-2.73
Sr2 0.5473 0.9481 0.1494  8 O 2.55-2.80
Sr3 0.9488 0.5516 0.3487  8 O 2.55-2.76
Sr4 0.3524 0.1501 0.5531  8 O 2.56-2.77
Ca1 0.4511 0.0475 0.8484  6 O 2.41-2.64
Ca2 0.8461 0.6517 0.0468  5 O 2.41-2.68
Ca3 0.6516 0.8479 0.4472  6 O 2.43-2.66
Ca4 0.0532 0.4511 0.6535  6 O 2.43-2.65
Nd1 0.7531 0.7500 0.7483  8 O 2.45-2.64
Nd2 0.2487 0.2499 0.2515  8 O 2.45-2.64
Mn1 0.5006 0.5004 0.5010  6 O 1.93-1.98
Mn2 0.7005 0.3006 0.0982  6 O 1.93-2.02
Mn3 0.0985 0.8982 0.3004  6 O 1.94-2.03
Mn4 0.9019 0.1013 0.7001  6 O 1.94-2.04
Mn5 0.2996 0.6998 0.9000  6 O 1.93-2.00
Mn6 0.5998 0.3984 0.8001  6 O 1.93-2.03
Mn7 0.7996 0.1990 0.4019  6 O 1.91-2.02
Mn8 0.2002 0.8006 0.5997  6 O 1.92-2.00
Mn9 0.9991 0.9994 0.9984  6 O 1.93-1.98
Mn10 0.4008 0.6021 0.2001  6 O 1.92-2.04
O1 0.1575 0.3486 0.4453  2 Mn 1.97-2.02
O2 0.3412 0.1527 0.0534  2 Mn 1.97-2.02
O3 0.7430 0.7522 0.2526  2 Mn 1.96-1.99
O4 0.5491 0.9417 0.6573  2 Mn 1.95-2.04
O5 0.9547 0.5550 0.8462  2 Mn 1.95-2.03
O6 0.2508 0.2540 0.7520  2 Mn 1.96-1.99
O7 0.4521 0.0554 0.3487  2 Mn 1.95-2.03
O8 0.8446 0.6540 0.5545  2 Mn 1.98-2.00
O9 0.6525 0.8484 0.9404  2 Mn 1.98-2.00
O10 0.0516 0.4394 0.1524  2 Mn 1.95-2.04
O11 0.4309 0.5830 0.3617  2 Mn 1.94-1.95
O12 0.6387 0.3890 0.9626  2 Mn 1.93
O13 0.0312 0.9850 0.1608  2 Mn 1.95-1.96
O14 0.8346 0.1875 0.5623  2 Mn 1.91-1.94
O15 0.2155 0.7834 0.7610  2 Mn 1.95
O16 0.9923 0.0178 0.8397  2 Mn 1.93-1.96
O17 0.1998 0.8262 0.4435  2 Mn 1.92-1.95
O18 0.5980 0.4288 0.6430  2 Mn 1.93-1.94
O19 0.3943 0.6270 0.0413  2 Mn 1.93-1.94
O20 0.7873 0.2246 0.2417  2 Mn 1.96
O21 0.7438 0.2328 0.7784  2 Mn 1.93-1.94
O22 0.9536 0.0384 0.3788  2 Mn 1.92-1.94
O23 0.3537 0.6355 0.5839  2 Mn 1.95
O24 0.1474 0.8344 0.9773  2 Mn 1.93-1.94
O25 0.5454 0.4342 0.1773  2 Mn 1.94-1.95
O26 0.0222 0.9520 0.6174  2 Mn 1.93-1.94
O27 0.2166 0.7498 0.2161  2 Mn 1.92-1.94
O28 0.6325 0.3569 0.4187  2 Mn 1.94
O29 0.4438 0.5637 0.8174  2 Mn 1.94-1.96
O30 0.8191 0.1509 0.0170  2 Mn 1.93-1.94



2.
This record from the Materials Project describes Mn2Fe3P6WO24 after structural relaxation. The functional is PBE+U.

Its formation enthalpy at 0 K is -56.00 kcal/mol of atoms. The calculation puts the magnetization at 26.00 Bohr magnetons per cell.

abc: 8.6860 8.6860 8.6860
angles: 60.04 60.04 60.04
Last column: nearest neighbours and their distance in Å.
Positions (direct):
Mn1 0.9955 0.9955 0.9955  6 O 2.20-2.36
Mn2 0.4994 0.4994 0.4994  6 O 2.25-2.26
Fe1 0.6447 0.6447 0.6447  6 O 1.96-2.10
Fe2 0.8538 0.8538 0.8538  6 O 1.94-2.10
Fe3 0.3553 0.3553 0.3553  6 O 1.95-2.08
P1 0.9556 0.2533 0.5472  4 O 1.51-1.58
P2 0.5472 0.9556 0.2533  4 O 1.51-1.58
P3 0.2533 0.5472 0.9556  4 O 1.51-1.58
P4 0.7454 0.4622 0.0429  4 O 1.52-1.61
P5 0.4622 0.0429 0.7454  4 O 1.52-1.61
P6 0.0429 0.7454 0.4622  4 O 1.52-1.61
W1 0.1437 0.1437 0.1437  6 O 1.96-2.04
O1 0.5024 0.1126 0.3151  1 P 1.51
O2 0.3151 0.5024 0.1126  1 P 1.51
O3 0.1126 0.3151 0.5024  1 P 1.51
O4 0.9411 0.0870 0.7354  1 P 1.55
O5 0.9991 0.1849 0.3872  1 P 1.58
O6 0.7638 0.4135 0.5537  1 P 1.54
O7 0.7354 0.9411 0.0870  1 P 1.55
O8 0.5537 0.7638 0.4135  1 P 1.54
O9 0.8131 0.6127 0.0043  1 P 1.52
O10 0.4135 0.5537 0.7638  1 P 1.54
O11 0.9128 0.2625 0.0650  1 P 1.61
O12 0.6127 0.0043 0.8131  1 P 1.52
O13 0.3872 0.9991 0.1849  1 P 1.58
O14 0.0870 0.7354 0.9411  1 P 1.55
O15 0.5884 0.4384 0.2377  1 P 1.55
O16 0.1849 0.3872 0.9991  1 P 1.58
O17 0.4384 0.2377 0.5884  1 P 1.55
O18 0.2625 0.0650 0.9128  1 P 1.61
O19 0.2377 0.5884 0.4384  1 P 1.55
O20 0.0043 0.8131 0.6127  1 P 1.52
O21 0.0650 0.9128 0.2625  1 P 1.61
O22 0.8834 0.6963 0.4907  1 P 1.52
O23 0.6963 0.4907 0.8834  1 P 1.52
O24 0.4907 0.8834 0.6963  1 P 1.52



3.
This record from the Materials Project describes Na2CrH5C4O11 after structural relaxation. The functional is PBE+U.

Its formation enthalpy at 0 K is -38.28 kcal/mol of atoms. The calculation puts the magnetization at 12.00 Bohr magnetons per cell.

abc: 8.9493 9.7747 12.9074
angles: 76.69 90.00 90.00
Last column: nearest neighbours and their distance in Å.
Positions (direct):
Na1 0.6660 0.8649 0.5120  7 O 2.48-2.73
Na2 0.3340 0.1351 0.4880  7 O 2.48-2.73
Na3 0.1660 0.1351 0.9880  7 O 2.48-2.73
Na4 0.8340 0.8649 0.0120  7 O 2.48-2.73
Na5 0.1502 0.3536 0.7094  5 O 2.38-2.48
Na6 0.8498 0.6464 0.2906  5 O 2.38-2.48
Na7 0.6502 0.6464 0.7906  5 O 2.38-2.48
Na8 0.3498 0.3536 0.2094  5 O 2.38-2.48
Cr1 0.4411 0.8966 0.9372  6 O 2.01-2.04
Cr2 0.5589 0.1034 0.0628  6 O 2.01-2.04
Cr3 0.9411 0.1034 0.5628  6 O 2.01-2.04
Cr4 0.0589 0.8966 0.4372  6 O 2.01-2.04
H1 0.1581 0.4399 0.9218  1 O 0.98
H2 0.8419 0.5601 0.0782  1 O 0.98
H3 0.6581 0.5601 0.5782  1 O 0.98
H4 0.3419 0.4399 0.4218  1 O 0.98
H5 0.4914 0.5957 0.5939  1 O 0.99
H6 0.5086 0.4043 0.4061  1 O 0.99
H7 0.9914 0.4043 0.9061  1 O 0.99
H8 0.0086 0.5957 0.0939  1 O 0.99
H9 0.1433 0.9061 0.6258  1 O 0.99
H10 0.8567 0.0939 0.3742  1 O 0.99
H11 0.6433 0.0939 0.8742  1 O 0.99
H12 0.3567 0.9061 0.1258  1 O 0.99
H13 0.2292 0.7275 0.7977  1 O 0.98
H14 0.7708 0.2725 0.2023  1 O 0.98
H15 0.7292 0.2725 0.7023  1 O 0.98
H16 0.2708 0.7275 0.2977  1 O 0.98
H17 0.0598 0.7414 0.7809  1 O 0.98
H18 0.9402 0.2586 0.2191  1 O 0.98
H19 0.5598 0.2586 0.7191  1 O 0.98
H20 0.4402 0.7414 0.2809  1 O 0.98
C1 0.0162 0.6256 0.5649  2 O 1.24-1.30
C2 0.9838 0.3744 0.4351  2 O 1.24-1.30
C3 0.5162 0.3744 0.9351  2 O 1.24-1.30
C4 0.4838 0.6256 0.0649  2 O 1.24-1.30
C5 0.8589 0.9265 0.7571  2 O 1.25-1.29
C6 0.1411 0.0735 0.2429  2 O 1.25-1.29
C7 0.3589 0.0735 0.7429  2 O 1.25-1.29
C8 0.6411 0.9265 0.2571  2 O 1.25-1.29
C9 0.4464 0.9497 0.7131  2 O 1.24-1.30
C10 0.5536 0.0503 0.2869  2 O 1.24-1.30
C11 0.9464 0.0503 0.7869  2 O 1.24-1.30
C12 0.0536 0.9497 0.2131  2 O 1.24-1.30
C13 0.1849 0.6363 0.5338  2 O 1.25-1.30
C14 0.8151 0.3637 0.4662  2 O 1.25-1.30
C15 0.6849 0.3637 0.9662  2 O 1.25-1.30
C16 0.3151 0.6363 0.0338  2 O 1.25-1.30
O1 0.4895 0.8524 0.7942  1 C 1.30
O2 0.5105 0.1476 0.2058  1 C 1.30
O3 0.9895 0.1476 0.7058  1 C 1.30
O4 0.0105 0.8524 0.2942  1 C 1.30
O5 0.2720 0.5385 0.5729  1 C 1.25
O6 0.7280 0.4615 0.4271  1 C 1.25
O7 0.7720 0.4615 0.9271  1 C 1.25
O8 0.2280 0.5385 0.0729  1 C 1.25
O9 0.4657 0.4821 0.8747  1 C 1.24
O10 0.5343 0.5179 0.1253  1 C 1.24
O11 0.9657 0.5179 0.6253  1 C 1.24
O12 0.0343 0.4821 0.3747  1 C 1.24
O13 0.8316 0.8181 0.8267  1 C 1.25
O14 0.1684 0.1819 0.1733  1 C 1.25
O15 0.3316 0.1819 0.6733  1 C 1.25
O16 0.6684 0.8181 0.3267  1 C 1.25
O17 0.0942 0.3768 0.8927  2 H 0.98-0.99
O18 0.9058 0.6232 0.1073  2 H 0.98-0.99
O19 0.5942 0.6232 0.6073  2 H 0.98-0.99
O20 0.4058 0.3768 0.3927  2 H 0.98-0.99
O21 0.1188 0.9778 0.5607  1 H 0.99
O22 0.8812 0.0222 0.4393  1 H 0.99
O23 0.6188 0.0222 0.9393  1 H 0.99
O24 0.3812 0.9778 0.0607  1 H 0.99
O25 0.9384 0.7358 0.5211  1 C 1.30
O26 0.0616 0.2642 0.4789  1 C 1.30
O27 0.4384 0.2642 0.9789  1 C 1.30
O28 0.5616 0.7358 0.0211  1 C 1.30
O29 0.2778 0.7504 0.9656  1 C 1.30
O30 0.7222 0.2496 0.0344  1 C 1.30
O31 0.7778 0.2496 0.5344  1 C 1.30
O32 0.2222 0.7504 0.4656  1 C 1.30
O33 0.8228 0.9466 0.6578  1 C 1.29
O34 0.1772 0.0534 0.3422  1 C 1.29
O35 0.3228 0.0534 0.8422  1 C 1.29
O36 0.6772 0.9466 0.1578  1 C 1.29
O37 0.4692 0.9504 0.6184  1 C 1.24
O38 0.5308 0.0496 0.3816  1 C 1.24
O39 0.9692 0.0496 0.8816  1 C 1.24
O40 0.0308 0.9504 0.1184  1 C 1.24
O41 0.1537 0.7484 0.7416  2 H 0.98
O42 0.8463 0.2516 0.2584  2 H 0.98
O43 0.6537 0.2516 0.7584  2 H 0.98
O44 0.3463 0.7484 0.2416  2 H 0.98